Computed, not measured: a relaxed LiAlFeO4 crystal at the GGA+U level of DFT.

Total magnetic moment ... 0.00 μB per cell
Calculated total energy ... -174.1 eV for the cell shown
Symmetry ... Pnma
Offset from the most stable computed form ... 18.33 kJ per mole of atoms

Structure (extended XYZ):
```
28
Lattice="-0.192 1.068 2.694 -7.546 -5.266 1.550 6.064 -7.668 3.470" Properties=species:S:1:pos:R:3 pbc="T T T"
O 0.207 -1.252 2.859
O -1.200 -3.556 2.107
O 2.680 -8.245 5.806
O -0.474 -8.310 5.607
O 5.014 -7.595 4.149
O -5.018 -6.132 2.855
O 3.344 -5.734 4.858
O -1.275 -7.044 3.484
O 1.202 -7.108 3.685
O -2.876 -4.758 4.029
O -0.399 -4.822 4.230
O -4.354 -3.621 1.908
O 1.550 -3.684 2.353
O -3.224 -8.182 5.361
O -1.881 -10.613 4.855
O -6.688 -4.271 3.565
Al -1.629 -5.299 2.767
Al -0.045 -6.567 4.947
Al 0.628 -0.749 1.124
Al -2.301 -11.117 6.590
Li 2.906 -4.968 2.958
Li -4.580 -6.898 4.756
Li -2.467 -2.167 3.031
Li 0.793 -9.699 4.683
Fe 0.175 -3.029 3.561
Fe 3.022 -7.593 4.007
Fe -4.696 -4.273 3.707
Fe -1.849 -8.837 4.153
```